[1]
Li2MnO3 after structural relaxation. Source: Materials Project, functional GGA+U.

Computed properties:
Its space group is P-1, No. 2. The value obtained for the magnetization is 6.00 μB per cell. For the final energy, the calculation gives -6.134 eV per atom.

abc: 2.895 5.069 7.673
angles: 107.92 100.62 89.75
Sites, in units of the cell vectors:
Li (0.337, 0.512, 0.177)
Li (0.000, 0.500, 0.500)
Li (0.663, 0.488, 0.823)
Li (0.500, 0.000, 0.500)
Mn (0.166, 0.007, 0.824)
Mn (0.834, 0.993, 0.176)
O (0.743, 0.214, 0.988)
O (0.400, 0.222, 0.313)
O (0.095, 0.239, 0.683)
O (0.905, 0.761, 0.317)
O (0.600, 0.778, 0.687)
O (0.257, 0.786, 0.012)

***

[2]
Li13Mn2O9 after structural relaxation. Source: Materials Project, functional GGA+U.

Computed properties:
Its space group is P1, No. 1. The value obtained for the magnetization is 18.00 μB per cell. Its offset from the most stable computed form is 0.003 eV per atom. For the final energy, the calculation gives -5.276 eV per atom.

abc: 5.690 10.039 8.223
angles: 89.98 88.42 90.00
Sites, in units of the cell vectors:
Li (0.128, 0.152, 0.442)
Li (0.639, 0.664, 0.424)
Li (0.176, 0.151, 0.940)
Li (0.685, 0.657, 0.945)
Li (0.436, 0.153, 0.217)
Li (0.970, 0.667, 0.215)
Li (0.521, 0.496, 0.213)
Li (0.017, 0.982, 0.216)
Li (0.651, 0.310, 0.421)
Li (0.164, 0.815, 0.417)
Li (0.620, 0.346, 0.965)
Li (0.146, 0.855, 0.945)
Li (0.682, 0.024, 0.429)
Li (0.187, 0.524, 0.422)
Li (0.807, 0.152, 0.068)
Li (0.322, 0.659, 0.060)
Li (0.822, 0.484, 0.570)
Li (0.321, 0.986, 0.586)
Li (0.954, 0.308, 0.751)
Li (0.486, 0.809, 0.747)
Li (0.969, 0.013, 0.751)
Li (0.493, 0.508, 0.751)
Li (0.151, 0.473, 0.936)
Li (0.648, 0.971, 0.934)
Li (0.302, 0.335, 0.591)
Li (0.815, 0.838, 0.574)
Mn (0.036, 0.663, 0.735)
Mn (0.521, 0.850, 0.217)
Mn (0.532, 0.163, 0.742)
Mn (0.024, 0.339, 0.224)
O (0.174, 0.162, 0.676)
O (0.707, 0.660, 0.654)
O (0.501, 0.162, 0.991)
O (0.021, 0.662, 0.967)
O (0.638, 0.344, 0.655)
O (0.136, 0.836, 0.672)
O (0.131, 0.486, 0.677)
O (0.644, 0.981, 0.665)
O (0.849, 0.492, 0.327)
O (0.331, 0.998, 0.349)
O (0.848, 0.175, 0.307)
O (0.338, 0.668, 0.307)
O (0.960, 0.321, 0.002)
O (0.480, 0.813, 0.979)
O (0.971, 0.006, 0.988)
O (0.475, 0.507, 0.986)
O (0.301, 0.333, 0.351)
O (0.836, 0.830, 0.340)

***

[3]
Li4Mn3O7 after structural relaxation. Source: Materials Project, functional GGA+U.

Computed properties:
Its space group is P-1, No. 2. The value obtained for the magnetization is 22.00 μB per cell. Its offset from the most stable computed form is 0.004 eV per atom. For the final energy, the calculation gives -6.422 eV per atom.

abc: 5.285 7.671 7.769
angles: 116.17 105.81 97.36
Sites, in units of the cell vectors:
Li (0.450, 0.796, 0.941)
Li (0.856, 0.068, 0.340)
Li (0.297, 0.356, 0.794)
Li (0.703, 0.644, 0.206)
Li (0.144, 0.932, 0.660)
Li (0.550, 0.204, 0.059)
Li (0.000, 0.500, 0.500)
Li (0.000, 0.000, 0.000)
Mn (0.848, 0.575, 0.859)
Mn (0.152, 0.425, 0.141)
Mn (0.277, 0.859, 0.279)
Mn (0.723, 0.141, 0.721)
Mn (0.579, 0.716, 0.577)
Mn (0.421, 0.284, 0.423)
O (0.944, 0.737, 0.737)
O (0.439, 0.045, 0.199)
O (0.804, 0.318, 0.604)
O (0.283, 0.614, 0.049)
O (0.721, 0.892, 0.489)
O (0.144, 0.193, 0.902)
O (0.581, 0.468, 0.343)
O (0.856, 0.807, 0.098)
O (0.279, 0.108, 0.511)
O (0.717, 0.386, 0.951)
O (0.196, 0.682, 0.396)
O (0.561, 0.955, 0.801)
O (0.056, 0.263, 0.263)
O (0.419, 0.532, 0.657)

***

[4]
Li2MnO3 after structural relaxation. Source: Materials Project, functional GGA+U.

Computed properties:
Its space group is P-1, No. 2. The value obtained for the magnetization is 6.00 μB per cell. For the final energy, the calculation gives -6.138 eV per atom.

abc: 2.892 7.721 5.095
angles: 76.57 73.72 79.33
Sites, in units of the cell vectors:
Li (0.658, 0.187, 0.492)
Li (0.008, 0.480, 0.508)
Li (0.333, 0.833, 0.500)
Li (0.333, 0.333, 0.000)
Mn (0.001, 0.011, 0.988)
Mn (0.665, 0.656, 0.012)
O (0.360, 0.069, 0.216)
O (0.660, 0.438, 0.242)
O (0.015, 0.753, 0.218)
O (0.007, 0.229, 0.758)
O (0.307, 0.598, 0.784)
O (0.651, 0.914, 0.782)

***

[5]
LiMn3O6 after structural relaxation. Source: Materials Project, functional GGA+U.

Computed properties:
Its space group is P1, No. 1. The value obtained for the magnetization is 40.00 μB per cell. Its offset from the most stable computed form is 0.034 eV per atom. For the final energy, the calculation gives -6.942 eV per atom.

abc: 5.851 6.599 13.177
angles: 99.83 90.84 115.27
Sites, in units of the cell vectors:
Li (0.587, 0.677, 0.822)
Li (0.580, 0.179, 0.321)
Li (0.241, 0.488, 0.008)
Li (0.750, 0.992, 0.513)
Mn (0.009, 0.519, 0.508)
Mn (0.168, 0.337, 0.670)
Mn (0.994, 0.995, 0.999)
Mn (0.170, 0.834, 0.166)
Mn (0.668, 0.337, 0.670)
Mn (0.830, 0.166, 0.831)
Mn (0.670, 0.835, 0.167)
Mn (0.837, 0.667, 0.333)
Mn (0.320, 0.140, 0.825)
Mn (0.322, 0.637, 0.325)
Mn (0.496, 0.497, 0.503)
Mn (0.509, 0.027, 0.006)
O (0.517, 0.544, 0.669)
O (0.655, 0.294, 0.516)
O (0.523, 0.047, 0.171)
O (0.020, 0.549, 0.658)
O (0.640, 0.799, 0.015)
O (0.123, 0.287, 0.522)
O (0.191, 0.369, 0.822)
O (0.019, 0.042, 0.152)
O (0.317, 0.127, 0.674)
O (0.154, 0.796, 0.017)
O (0.195, 0.865, 0.316)
O (0.712, 0.392, 0.815)
O (0.318, 0.622, 0.161)
O (0.815, 0.124, 0.677)
O (0.871, 0.223, 0.982)
O (0.687, 0.875, 0.316)
O (0.934, 0.932, 0.851)
O (0.819, 0.626, 0.180)
O (0.859, 0.726, 0.483)
O (0.335, 0.208, 0.982)
O (0.961, 0.448, 0.355)
O (0.491, 0.954, 0.836)
O (0.361, 0.708, 0.494)
O (0.493, 0.449, 0.339)

***

[6]
Li4Mn3O7 after structural relaxation. Source: Materials Project, functional GGA+U.

Computed properties:
Its space group is P-1, No. 2. The value obtained for the magnetization is 22.00 μB per cell. Its offset from the most stable computed form is 0.027 eV per atom. For the final energy, the calculation gives -6.400 eV per atom.

abc: 3.004 6.065 14.501
angles: 83.42 84.53 85.59
Sites, in units of the cell vectors:
Li (0.938, 0.210, 0.631)
Li (0.500, 0.500, 0.500)
Li (0.062, 0.790, 0.369)
Li (0.354, 0.925, 0.785)
Li (0.787, 0.643, 0.929)
Li (0.213, 0.357, 0.071)
Li (0.646, 0.075, 0.215)
Li (0.500, 0.000, 0.500)
Mn (0.937, 0.724, 0.636)
Mn (0.063, 0.276, 0.364)
Mn (0.632, 0.565, 0.215)
Mn (0.213, 0.857, 0.073)
Mn (0.787, 0.143, 0.927)
Mn (0.368, 0.435, 0.785)
O (0.457, 0.495, 0.646)
O (0.991, 0.745, 0.509)
O (0.594, 0.070, 0.358)
O (0.825, 0.187, 0.789)
O (0.249, 0.898, 0.934)
O (0.677, 0.612, 0.078)
O (0.101, 0.328, 0.222)
O (0.406, 0.930, 0.642)
O (0.009, 0.255, 0.491)
O (0.543, 0.505, 0.354)
O (0.899, 0.672, 0.778)
O (0.323, 0.388, 0.922)
O (0.751, 0.102, 0.066)
O (0.175, 0.813, 0.211)

***

[7]
Li6Mn5O10 after structural relaxation. Source: Materials Project, functional GGA+U.

Computed properties:
Its space group is Cm, No. 8. The value obtained for the magnetization is 21.00 μB per cell. For the final energy, the calculation gives -6.441 eV per atom.

abc: 7.935 7.935 5.176
angles: 88.98 88.98 137.56
Sites, in units of the cell vectors:
Li (0.268, 0.084, 0.399)
Li (0.551, 0.122, 0.600)
Li (0.888, 0.684, 0.586)
Li (0.084, 0.268, 0.399)
Li (0.122, 0.551, 0.600)
Li (0.684, 0.888, 0.586)
Mn (0.020, 0.020, 0.969)
Mn (0.627, 0.431, 0.033)
Mn (0.805, 0.212, 0.021)
Mn (0.212, 0.805, 0.021)
Mn (0.431, 0.627, 0.033)
O (0.349, 0.349, 0.203)
O (0.235, 0.996, 0.753)
O (0.554, 0.167, 0.225)
O (0.664, 0.664, 0.812)
O (0.982, 0.766, 0.228)
O (0.825, 0.432, 0.797)
O (0.167, 0.554, 0.225)
O (0.996, 0.235, 0.753)
O (0.432, 0.825, 0.797)
O (0.766, 0.982, 0.228)

***

[8]
Li8Mn5O10 after structural relaxation. Source: Materials Project, functional GGA+U.

Computed properties:
Its space group is P1, No. 1. The value obtained for the magnetization is 23.00 μB per cell. For the final energy, the calculation gives -6.184 eV per atom.

abc: 5.227 5.492 8.416
angles: 105.58 92.74 91.72
Sites, in units of the cell vectors:
Li (0.621, 0.358, 0.009)
Li (0.594, 0.897, 0.191)
Li (0.377, 0.254, 0.203)
Li (0.613, 0.557, 0.400)
Li (0.362, 0.479, 0.603)
Li (0.585, 0.117, 0.563)
Li (0.598, 0.727, 0.821)
Li (0.371, 0.068, 0.800)
Mn (0.006, 0.987, 0.996)
Mn (0.039, 0.605, 0.200)
Mn (0.988, 0.801, 0.601)
Mn (0.998, 0.407, 0.801)
Mn (0.999, 0.190, 0.394)
O (0.789, 0.685, 0.008)
O (0.227, 0.289, 0.996)
O (0.218, 0.943, 0.185)
O (0.752, 0.275, 0.222)
O (0.781, 0.889, 0.400)
O (0.227, 0.483, 0.390)
O (0.730, 0.481, 0.609)
O (0.211, 0.149, 0.595)
O (0.233, 0.733, 0.785)
O (0.754, 0.072, 0.827)

***

[9]
Li8Mn2O9 after structural relaxation. Source: Materials Project, functional GGA+U.

Computed properties:
Its space group is P-1, No. 2. The value obtained for the magnetization is 23.72 μB per cell. For the final energy, the calculation gives -5.594 eV per atom.

abc: 5.742 8.667 14.883
angles: 87.13 100.80 108.98
Sites, in units of the cell vectors:
Li (0.903, 0.122, 0.969)
Li (0.172, 0.623, 0.951)
Li (0.672, 0.628, 0.960)
Li (0.437, 0.127, 0.960)
Li (0.258, 0.408, 0.847)
Li (0.975, 0.846, 0.848)
Li (0.592, 0.626, 0.759)
Li (0.051, 0.626, 0.756)
Li (0.792, 0.123, 0.741)
Li (0.330, 0.123, 0.741)
Li (0.126, 0.342, 0.656)
Li (0.403, 0.903, 0.648)
Li (0.483, 0.629, 0.541)
Li (0.713, 0.128, 0.542)
Li (0.936, 0.623, 0.530)
Li (0.792, 0.878, 0.453)
Li (0.208, 0.122, 0.547)
Li (0.064, 0.377, 0.470)
Li (0.287, 0.872, 0.458)
Li (0.517, 0.371, 0.459)
Li (0.597, 0.097, 0.352)
Li (0.874, 0.658, 0.344)
Li (0.670, 0.877, 0.259)
Li (0.208, 0.877, 0.259)
Li (0.949, 0.374, 0.244)
Li (0.408, 0.374, 0.241)
Li (0.025, 0.154, 0.152)
Li (0.742, 0.592, 0.153)
Li (0.563, 0.873, 0.040)
Li (0.328, 0.372, 0.040)
Li (0.828, 0.377, 0.049)
Li (0.097, 0.878, 0.031)
Mn (0.496, 0.879, 0.849)
Mn (0.741, 0.370, 0.856)
Mn (0.890, 0.872, 0.649)
Mn (0.644, 0.380, 0.648)
Mn (0.356, 0.620, 0.352)
Mn (0.110, 0.128, 0.351)
Mn (0.259, 0.630, 0.144)
Mn (0.504, 0.121, 0.151)
O (0.775, 0.883, 0.939)
O (0.298, 0.884, 0.934)
O (0.019, 0.359, 0.938)
O (0.538, 0.367, 0.940)
O (0.377, 0.649, 0.845)
O (0.858, 0.599, 0.858)
O (0.610, 0.122, 0.846)
O (0.694, 0.876, 0.750)
O (0.192, 0.873, 0.748)
O (0.922, 0.374, 0.750)
O (0.464, 0.374, 0.752)
O (0.008, 0.101, 0.654)
O (0.768, 0.627, 0.654)
O (0.526, 0.151, 0.642)
O (0.607, 0.869, 0.562)
O (0.360, 0.389, 0.566)
O (0.075, 0.863, 0.560)
O (0.840, 0.386, 0.560)
O (0.160, 0.614, 0.440)
O (0.925, 0.137, 0.440)
O (0.640, 0.611, 0.434)
O (0.393, 0.131, 0.438)
O (0.474, 0.849, 0.358)
O (0.232, 0.373, 0.346)
O (0.992, 0.899, 0.346)
O (0.536, 0.626, 0.248)
O (0.078, 0.626, 0.250)
O (0.808, 0.127, 0.252)
O (0.306, 0.124, 0.250)
O (0.390, 0.878, 0.154)
O (0.142, 0.401, 0.142)
O (0.623, 0.351, 0.155)
O (0.462, 0.633, 0.060)
O (0.981, 0.641, 0.062)
O (0.702, 0.116, 0.066)
O (0.225, 0.117, 0.061)

***

[10]
Li4Mn3O7 after structural relaxation. Source: Materials Project, functional GGA+U.

Computed properties:
Its space group is C2/m, No. 12. The value obtained for the magnetization is 22.00 μB per cell. Its offset from the most stable computed form is 0.019 eV per atom. For the final energy, the calculation gives -6.407 eV per atom.

abc: 15.560 15.560 5.859
angles: 85.38 85.38 10.62
Sites, in units of the cell vectors:
Li (0.500, 0.500, 0.500)
Li (0.361, 0.361, 0.069)
Li (0.215, 0.215, 0.643)
Li (0.935, 0.935, 0.789)
Li (0.785, 0.785, 0.357)
Li (0.639, 0.639, 0.931)
Li (0.065, 0.065, 0.211)
Li (0.500, 0.500, 0.000)
Mn (0.065, 0.065, 0.722)
Mn (0.935, 0.935, 0.278)
Mn (0.787, 0.787, 0.856)
Mn (0.639, 0.639, 0.432)
Mn (0.361, 0.361, 0.568)
Mn (0.213, 0.213, 0.144)
O (0.568, 0.568, 0.491)
O (0.429, 0.429, 0.060)
O (0.285, 0.285, 0.627)
O (0.007, 0.007, 0.750)
O (0.864, 0.864, 0.338)
O (0.712, 0.712, 0.916)
O (0.140, 0.140, 0.204)
O (0.432, 0.432, 0.509)
O (0.288, 0.288, 0.084)
O (0.136, 0.136, 0.662)
O (0.860, 0.860, 0.796)
O (0.715, 0.715, 0.373)
O (0.571, 0.571, 0.940)
O (0.993, 0.993, 0.250)

***

[11]
Li2Mn5O12 after structural relaxation. Source: Materials Project, functional GGA+U.

Computed properties:
Its space group is Cc, No. 9. The value obtained for the magnetization is 26.00 μB per cell. For the final energy, the calculation gives -6.628 eV per atom.

abc: 5.826 5.826 13.054
angles: 77.16 77.16 89.98
Sites, in units of the cell vectors:
Li (0.660, 0.921, 0.670)
Li (0.921, 0.660, 0.170)
Li (0.000, 0.253, 0.996)
Li (0.253, 0.000, 0.496)
Mn (0.465, 0.456, 0.580)
Mn (0.792, 0.792, 0.416)
Mn (0.121, 0.127, 0.253)
Mn (0.957, 0.456, 0.581)
Mn (0.792, 0.792, 0.916)
Mn (0.456, 0.465, 0.080)
Mn (0.456, 0.957, 0.081)
Mn (0.127, 0.624, 0.752)
Mn (0.127, 0.121, 0.753)
Mn (0.624, 0.127, 0.252)
O (0.335, 0.879, 0.742)
O (0.348, 0.379, 0.742)
O (0.879, 0.335, 0.242)
O (0.871, 0.893, 0.259)
O (0.713, 0.691, 0.575)
O (0.704, 0.246, 0.591)
O (0.557, 0.551, 0.932)
O (0.557, 0.017, 0.931)
O (0.037, 0.022, 0.402)
O (0.017, 0.557, 0.431)
O (0.232, 0.206, 0.089)
O (0.893, 0.871, 0.759)
O (0.914, 0.381, 0.738)
O (0.246, 0.704, 0.091)
O (0.023, 0.562, 0.902)
O (0.022, 0.037, 0.902)
O (0.379, 0.348, 0.242)
O (0.381, 0.914, 0.238)
O (0.204, 0.675, 0.592)
O (0.206, 0.232, 0.589)
O (0.675, 0.204, 0.092)
O (0.691, 0.713, 0.075)
O (0.562, 0.023, 0.402)
O (0.551, 0.557, 0.432)

***

What did the eleventh record say?
Li2Mn5O12 after structural relaxation. Source: Materials Project, functional GGA+U.

Computed properties:
Its space group is Cc, No. 9. The value obtained for the magnetization is 26.00 μB per cell. For the final energy, the calculation gives -6.628 eV per atom.

abc: 5.826 5.826 13.054
angles: 77.16 77.16 89.98
Sites, in units of the cell vectors:
Li (0.660, 0.921, 0.670)
Li (0.921, 0.660, 0.170)
Li (0.000, 0.253, 0.996)
Li (0.253, 0.000, 0.496)
Mn (0.465, 0.456, 0.580)
Mn (0.792, 0.792, 0.416)
Mn (0.121, 0.127, 0.253)
Mn (0.957, 0.456, 0.581)
Mn (0.792, 0.792, 0.916)
Mn (0.456, 0.465, 0.080)
Mn (0.456, 0.957, 0.081)
Mn (0.127, 0.624, 0.752)
Mn (0.127, 0.121, 0.753)
Mn (0.624, 0.127, 0.252)
O (0.335, 0.879, 0.742)
O (0.348, 0.379, 0.742)
O (0.879, 0.335, 0.242)
O (0.871, 0.893, 0.259)
O (0.713, 0.691, 0.575)
O (0.704, 0.246, 0.591)
O (0.557, 0.551, 0.932)
O (0.557, 0.017, 0.931)
O (0.037, 0.022, 0.402)
O (0.017, 0.557, 0.431)
O (0.232, 0.206, 0.089)
O (0.893, 0.871, 0.759)
O (0.914, 0.381, 0.738)
O (0.246, 0.704, 0.091)
O (0.023, 0.562, 0.902)
O (0.022, 0.037, 0.902)
O (0.379, 0.348, 0.242)
O (0.381, 0.914, 0.238)
O (0.204, 0.675, 0.592)
O (0.206, 0.232, 0.589)
O (0.675, 0.204, 0.092)
O (0.691, 0.713, 0.075)
O (0.562, 0.023, 0.402)
O (0.551, 0.557, 0.432)

***

> Among the records above, which one has the highest final energy?

Li13Mn2O9